# GGA+U Fe4GeC16O16, relaxed
data_Fe4GeC16O16
_cell_length_a 9.562
_cell_length_b 11.895
_cell_length_c 20.762
_cell_angle_alpha 90.00
_cell_angle_beta 98.69
_cell_angle_gamma 90.00
_symmetry_space_group_name_H-M 'P 1 21/c 1'
_symmetry_Int_Tables_number 14
_symmetry_space_group_name_Hall '-P 2ybc'
loop_
_atom_site_label
_atom_site_type_symbol
_atom_site_fract_x
_atom_site_fract_y
_atom_site_fract_z
Fe1 Fe 0.031 0.234 0.080
Fe2 Fe 0.230 0.724 0.005
Fe3 Fe 0.277 0.620 0.803
Fe4 Fe 0.320 0.642 0.315
Ge1 Ge 0.202 0.741 0.887
C1 C 0.012 0.586 0.422
C2 C 0.056 0.119 0.602
C3 C 0.095 0.638 0.766
C4 C 0.126 0.232 0.011
C5 C 0.142 0.626 0.273
C6 C 0.159 0.733 0.080
C7 C 0.160 0.204 0.149
C8 C 0.189 0.578 0.990
C9 C 0.241 0.018 0.331
C10 C 0.277 0.628 0.504
C11 C 0.316 0.003 0.839
C12 C 0.336 0.601 0.726
C13 C 0.407 0.645 0.245
C14 C 0.410 0.686 0.027
C15 C 0.452 0.610 0.852
C16 C 0.470 0.659 0.379
O1 O 0.022 0.144 0.760
O2 O 0.027 0.608 0.248
O3 O 0.028 0.011 0.920
O4 O 0.081 0.027 0.620
O5 O 0.117 0.738 0.129
O6 O 0.172 0.018 0.483
O7 O 0.189 0.228 0.967
O8 O 0.224 0.109 0.349
O9 O 0.246 0.185 0.193
O10 O 0.314 0.535 0.506
O11 O 0.316 0.096 0.854
O12 O 0.370 0.584 0.676
O13 O 0.435 0.162 0.079
O14 O 0.437 0.095 0.618
O15 O 0.462 0.643 0.198
O16 O 0.474 0.156 0.458
# DFT formation energy = -0.59 eV/atom
# Raw total energy = -1068.029 eV/cell